(1)
First-principles (PBE+U) data for a relaxed structure of Fe3OF5, as listed in Materials Project.

Computed properties:
- Electronic total energy: -5.741 eV per atom
- Space-group type: C2/m
- Calculated formation energy: -2.39 eV per atom
- Density: 4.16 g cm⁻³

Lattice parameters (Å, degrees): 5.7841 5.7841 7.5010 72.94 72.94 72.17
Fractional positions:
Fe: 0.5000 0.5000 0.5000
Fe: 0.1457 0.1457 0.8491
Fe: 0.1638 0.1638 0.3275
Fe: 0.5000 0.5000 0.0000
Fe: 0.8362 0.8362 0.6725
Fe: 0.8543 0.8543 0.1509
F: 0.7985 0.2015 0.5000
F: 0.2572 0.2572 0.5536
F: 0.2015 0.7985 0.5000
F: 0.5356 0.1366 0.1762
F: 0.6166 0.6166 0.1893
F: 0.4644 0.8634 0.8238
F: 0.8634 0.4644 0.8238
F: 0.7428 0.7428 0.4464
F: 0.3834 0.3834 0.8107
F: 0.1366 0.5356 0.1762
O: 0.9336 0.9336 0.8760
O: 0.0664 0.0664 0.1240


(2)
First-principles (PBE+U) data for a relaxed structure of LiP5WO15, as listed in Materials Project.

Computed properties:
- Electronic total energy: -7.127 eV per atom
- Space-group type: P2_1/c
- Calculated formation energy: -2.52 eV per atom
- Density: 2.98 g cm⁻³

Lattice parameters (Å, degrees): 13.8535 9.5039 10.7008 68.08 90.00 90.00
Fractional positions:
O: 0.9864 0.0916 0.1079
O: 0.6212 0.4992 0.6409
O: 0.1212 0.5008 0.8591
O: 0.2328 0.1143 0.0905
O: 0.4864 0.9084 0.3921
O: 0.5208 0.2761 0.8702
O: 0.8571 0.3014 0.0397
O: 0.5789 0.5643 0.3913
O: 0.3444 0.8960 0.5584
O: 0.3331 0.8849 0.0903
O: 0.8776 0.4940 0.6387
O: 0.8498 0.2996 0.5300
O: 0.9211 0.5643 0.8913
O: 0.3498 0.7004 0.9700
O: 0.7328 0.8857 0.4095
O: 0.8331 0.1151 0.4097
O: 0.1224 0.5060 0.3613
O: 0.8444 0.1040 0.9416
O: 0.7333 0.9291 0.1337
O: 0.6502 0.2996 0.0300
O: 0.0791 0.4400 0.6087
O: 0.2490 0.4680 0.0326
O: 0.3788 0.5008 0.3591
O: 0.1669 0.8849 0.5903
O: 0.4769 0.7156 0.6353
O: 0.7510 0.5320 0.9674
O: 0.3571 0.6986 0.4603
O: 0.7672 0.8857 0.9095
O: 0.0789 0.4357 0.1087
O: 0.5446 0.0649 0.1071
O: 0.2333 0.0709 0.3663
O: 0.6429 0.3014 0.5397
O: 0.4792 0.7239 0.1298
O: 0.6224 0.4940 0.1387
O: 0.5791 0.5600 0.8913
O: 0.9209 0.5600 0.3913
O: 0.6556 0.1040 0.4416
O: 0.3776 0.5060 0.8613
O: 0.4211 0.4357 0.6087
O: 0.0231 0.7156 0.1353
O: 0.9792 0.2761 0.3702
O: 0.5231 0.2844 0.3647
O: 0.1556 0.8960 0.0584
O: 0.4209 0.4400 0.1087
O: 0.8788 0.4992 0.1409
O: 0.4554 0.9351 0.8929
O: 0.1429 0.6986 0.9603
O: 0.2672 0.1143 0.5905
O: 0.7490 0.5320 0.4674
O: 0.0446 0.9351 0.3929
O: 0.6669 0.1151 0.9097
O: 0.0208 0.7239 0.6298
O: 0.5136 0.0916 0.6079
O: 0.9554 0.0649 0.6071
O: 0.9769 0.2844 0.8647
O: 0.2667 0.0709 0.8663
O: 0.1502 0.7004 0.4700
O: 0.2510 0.4680 0.5326
O: 0.7667 0.9291 0.6337
O: 0.0136 0.9084 0.8921
P: 0.1438 0.5277 0.4924
P: 0.5876 0.1758 0.9842
P: 0.3562 0.5277 0.9924
P: 0.9249 0.1826 0.9952
P: 0.2518 0.0156 0.5130
P: 0.4124 0.8242 0.0158
P: 0.7482 0.9844 0.4870
P: 0.6438 0.4723 0.0076
P: 0.8583 0.4756 0.0104
P: 0.1417 0.5244 0.9896
P: 0.0876 0.8242 0.5158
P: 0.0751 0.8174 0.0048
P: 0.3583 0.5244 0.4896
P: 0.5751 0.1826 0.4952
P: 0.7518 0.9844 0.9870
P: 0.9124 0.1758 0.4842
P: 0.6417 0.4756 0.5104
P: 0.4249 0.8174 0.5048
P: 0.2482 0.0156 0.0130
P: 0.8562 0.4723 0.5076
Li: 0.1328 0.0716 0.2348
Li: 0.3672 0.0716 0.7348
Li: 0.8672 0.9284 0.7652
Li: 0.6328 0.9284 0.2652
W: 0.4991 0.4977 0.7520
W: 0.5009 0.5023 0.2480
W: 0.9991 0.5023 0.7480
W: 0.0009 0.4977 0.2520


(3)
First-principles (PBE+U) data for a relaxed structure of CsMnH24S2O20, as listed in Materials Project.

Computed properties:
- Electronic total energy: -5.272 eV per atom
- Space-group type: Pa-3
- Calculated formation energy: -1.45 eV per atom
- Density: 2.03 g cm⁻³

Lattice parameters (Å, degrees): 12.4846 12.4846 12.4846 90.00 90.00 90.00
Fractional positions:
H: 0.6272 0.2770 0.6822
H: 0.2919 0.0651 0.5219
H: 0.9909 0.7685 0.7221
H: 0.7770 0.8178 0.3728
H: 0.5239 0.7044 0.0605
H: 0.3178 0.1272 0.2230
H: 0.9761 0.2956 0.5605
H: 0.6822 0.8728 0.7770
H: 0.4349 0.0219 0.2919
H: 0.7779 0.4909 0.7685
H: 0.4395 0.4761 0.2044
H: 0.4909 0.7315 0.2779
H: 0.1272 0.2770 0.8178
H: 0.7230 0.1822 0.8728
H: 0.2230 0.1822 0.6272
H: 0.1822 0.6272 0.2230
H: 0.5239 0.7956 0.5605
H: 0.7044 0.4395 0.0239
H: 0.8178 0.3728 0.7770
H: 0.1272 0.2230 0.3178
H: 0.9781 0.7081 0.5651
H: 0.2044 0.0605 0.9761
H: 0.7956 0.9395 0.0239
H: 0.0605 0.9761 0.2044
H: 0.2081 0.5651 0.5219
H: 0.0605 0.5239 0.7044
H: 0.9761 0.2044 0.0605
H: 0.7956 0.5605 0.5239
H: 0.2779 0.4909 0.7315
H: 0.0651 0.5219 0.2919
H: 0.5091 0.2685 0.7221
H: 0.2081 0.9349 0.0219
H: 0.0091 0.2685 0.7779
H: 0.5219 0.2081 0.5651
H: 0.7919 0.4349 0.4781
H: 0.2919 0.4349 0.0219
H: 0.9349 0.4781 0.7081
H: 0.5651 0.5219 0.2081
H: 0.4781 0.7081 0.9349
H: 0.5605 0.5239 0.7956
H: 0.9395 0.4761 0.2956
H: 0.5091 0.2315 0.2221
H: 0.0239 0.7956 0.9395
H: 0.7221 0.9909 0.7685
H: 0.0219 0.2081 0.9349
H: 0.9781 0.7919 0.0651
H: 0.3728 0.7230 0.3178
H: 0.9395 0.0239 0.7956
H: 0.0091 0.2315 0.2779
H: 0.6272 0.2230 0.1822
H: 0.4349 0.4781 0.7919
H: 0.7685 0.7221 0.9909
H: 0.2221 0.5091 0.2315
H: 0.2315 0.2221 0.5091
H: 0.3728 0.7770 0.8178
H: 0.7081 0.9349 0.4781
H: 0.2770 0.6822 0.6272
H: 0.8728 0.7230 0.1822
H: 0.7779 0.0091 0.2685
H: 0.6822 0.6272 0.2770
H: 0.5605 0.9761 0.2956
H: 0.4761 0.2044 0.4395
H: 0.3178 0.3728 0.7230
H: 0.7770 0.6822 0.8728
H: 0.2685 0.7779 0.0091
H: 0.5219 0.2919 0.0651
H: 0.9909 0.7315 0.2221
H: 0.0651 0.9781 0.7919
H: 0.7081 0.5651 0.9781
H: 0.8728 0.7770 0.6822
H: 0.2230 0.3178 0.1272
H: 0.4761 0.2956 0.9395
H: 0.8178 0.1272 0.2770
H: 0.2685 0.7221 0.5091
H: 0.4395 0.0239 0.7044
H: 0.4909 0.7685 0.7779
H: 0.7230 0.3178 0.3728
H: 0.1822 0.8728 0.7230
H: 0.7685 0.7779 0.4909
H: 0.7044 0.0605 0.5239
H: 0.2221 0.9909 0.7315
H: 0.7315 0.2779 0.4909
H: 0.2044 0.4395 0.4761
H: 0.7315 0.2221 0.9909
H: 0.7221 0.5091 0.2685
H: 0.5651 0.9781 0.7081
H: 0.7919 0.0651 0.9781
H: 0.2956 0.9395 0.4761
H: 0.4781 0.7919 0.4349
H: 0.0219 0.2919 0.4349
H: 0.2779 0.0091 0.2315
H: 0.0239 0.7044 0.4395
H: 0.2770 0.8178 0.1272
H: 0.2315 0.2779 0.0091
H: 0.2956 0.5605 0.9761
H: 0.9349 0.0219 0.2081
O: 0.0023 0.4995 0.3389
O: 0.4474 0.7115 0.3412
O: 0.4995 0.3389 0.0023
O: 0.3389 0.0023 0.4995
O: 0.2115 0.3412 0.0526
O: 0.4371 0.2202 0.8368
O: 0.6588 0.5526 0.2885
O: 0.2115 0.1588 0.5526
O: 0.5005 0.8389 0.4977
O: 0.0023 0.0005 0.8389
O: 0.1588 0.9474 0.7115
O: 0.1632 0.5629 0.7798
O: 0.9474 0.7115 0.1588
O: 0.7798 0.3368 0.0629
O: 0.7798 0.1632 0.5629
O: 0.2798 0.1632 0.9371
O: 0.3412 0.0526 0.2115
O: 0.0526 0.2115 0.3412
O: 0.2798 0.3368 0.4371
O: 0.0005 0.8389 0.0023
O: 0.7416 0.7584 0.2416
O: 0.5629 0.7798 0.1632
O: 0.8389 0.4977 0.5005
O: 0.1611 0.5023 0.4995
O: 0.5005 0.6611 0.9977
O: 0.2202 0.8368 0.4371
O: 0.2416 0.7416 0.7584
O: 0.7202 0.8368 0.0629
O: 0.5526 0.2115 0.1588
O: 0.7584 0.2416 0.7416
O: 0.2584 0.2416 0.7584
O: 0.9371 0.2798 0.1632
O: 0.4977 0.9995 0.3389
O: 0.9474 0.7885 0.6588
O: 0.7115 0.1588 0.9474
O: 0.8368 0.4371 0.2202
O: 0.3368 0.4371 0.2798
O: 0.9995 0.3389 0.4977
O: 0.6588 0.9474 0.7885
O: 0.8412 0.0526 0.2885
O: 0.7115 0.3412 0.4474
O: 0.7202 0.6632 0.5629
O: 0.4977 0.5005 0.8389
O: 0.1611 0.9977 0.9995
O: 0.8412 0.4474 0.7885
O: 0.1588 0.5526 0.2115
O: 0.4474 0.7885 0.8412
O: 0.5023 0.4995 0.1611
O: 0.4995 0.1611 0.5023
O: 0.2584 0.2584 0.2584
O: 0.9995 0.1611 0.9977
O: 0.7584 0.2584 0.2416
O: 0.0629 0.7202 0.8368
O: 0.9977 0.9995 0.1611
O: 0.7885 0.6588 0.9474
O: 0.9977 0.5005 0.6611
O: 0.0526 0.2885 0.8412
O: 0.6632 0.5629 0.7202
O: 0.9371 0.2202 0.6632
O: 0.0005 0.6611 0.5023
O: 0.2885 0.6588 0.5526
O: 0.1632 0.9371 0.2798
O: 0.3412 0.4474 0.7115
O: 0.7416 0.7416 0.7416
O: 0.2416 0.7584 0.2584
O: 0.3389 0.4977 0.9995
O: 0.0629 0.7798 0.3368
O: 0.5023 0.0005 0.6611
O: 0.8389 0.0023 0.0005
O: 0.6611 0.9977 0.5005
O: 0.5629 0.7202 0.6632
O: 0.4371 0.2798 0.3368
O: 0.3368 0.0629 0.7798
O: 0.2202 0.6632 0.9371
O: 0.7885 0.8412 0.4474
O: 0.6611 0.5023 0.0005
O: 0.6632 0.9371 0.2202
O: 0.2885 0.8412 0.0526
O: 0.5526 0.2885 0.6588
O: 0.8368 0.0629 0.7202
Mn: 0.5000 0.0000 0.5000
Mn: 0.5000 0.5000 0.0000
Mn: 0.0000 0.0000 0.0000
Mn: 0.0000 0.5000 0.5000
Cs: 0.0000 0.0000 0.5000
Cs: 0.5000 0.0000 0.0000
Cs: 0.0000 0.5000 0.0000
Cs: 0.5000 0.5000 0.5000
S: 0.6721 0.8279 0.1721
S: 0.3279 0.1721 0.8279
S: 0.1721 0.8279 0.3279
S: 0.8279 0.1721 0.6721
S: 0.3279 0.3279 0.3279
S: 0.8279 0.3279 0.1721
S: 0.1721 0.6721 0.8279
S: 0.6721 0.6721 0.6721


(4)
First-principles (PBE+U) data for a relaxed structure of Li9Mn2Co5O16, as listed in Materials Project.

Computed properties:
- Electronic total energy: -5.775 eV per atom
- Space-group type: Cm
- Calculated formation energy: -1.79 eV per atom
- Density: 4.14 g cm⁻³

Lattice parameters (Å, degrees): 10.7138 10.7138 10.2289 66.18 66.18 15.69
Fractional positions:
O: 0.0550 0.0550 0.7925
O: 0.5565 0.5565 0.0224
O: 0.3075 0.3075 0.9159
O: 0.6927 0.6927 0.0898
O: 0.4430 0.4430 0.4784
O: 0.3089 0.3089 0.4025
O: 0.1920 0.1920 0.8465
O: 0.6905 0.6905 0.5734
O: 0.0533 0.0533 0.2949
O: 0.9464 0.9464 0.2043
O: 0.9471 0.9471 0.7067
O: 0.8107 0.8107 0.6709
O: 0.4439 0.4439 0.9768
O: 0.1928 0.1928 0.3378
O: 0.8035 0.8035 0.1683
O: 0.5558 0.5558 0.5218
Li: 0.1326 0.1326 0.0543
Li: 0.3697 0.3697 0.1931
Li: 0.6287 0.6287 0.3096
Li: 0.6339 0.6339 0.8028
Li: 0.3704 0.3704 0.6938
Li: 0.2510 0.2510 0.6247
Li: 0.8686 0.8686 0.9401
Li: 0.1315 0.1315 0.5528
Li: 0.8637 0.8637 0.4546
Mn: 0.0007 0.0007 0.9993
Mn: 0.9994 0.9994 0.5000
Co: 0.7485 0.7485 0.3886
Co: 0.4989 0.4989 0.2509
Co: 0.7530 0.7530 0.8574
Co: 0.5013 0.5013 0.7492
Co: 0.2485 0.2485 0.1260